First-principles (PBE) data for an optimized crystal structure of ReC5IO5, as listed in the Materials Project.

magnetic moment	0.00	μB per formula unit
space-group type	Cmcm (63)
E	-7.76	eV/atom

POSCAR file:
```
ReC5IO5
1.0
4.712 4.715 -1.241
-5.600 2.873 2.523
3.943 -1.259 10.185
Re C I O
2 10 2 10
direct
0.140 0.860 0.750 Re
0.860 0.140 0.250 Re
0.683 0.946 0.122 C
0.317 0.054 0.622 C
0.684 0.316 0.250 C
0.054 0.317 0.378 C
0.946 0.683 0.622 C
0.316 0.684 0.750 C
0.946 0.683 0.878 C
0.054 0.317 0.122 C
0.317 0.054 0.878 C
0.683 0.946 0.378 C
0.115 0.885 0.250 I
0.885 0.115 0.750 I
0.419 0.167 0.550 O
0.833 0.581 0.950 O
0.581 0.833 0.450 O
0.420 0.580 0.750 O
0.581 0.833 0.050 O
0.167 0.419 0.050 O
0.580 0.420 0.250 O
0.833 0.581 0.550 O
0.419 0.167 0.950 O
0.167 0.419 0.450 O
```

---

First-principles (PBE) data for an optimized crystal structure of RhC2IO2, as listed in the Materials Project.

magnetic moment	0.00	μB per formula unit
space-group type	P2_1/c (14)
E	-6.75	eV/atom

POSCAR file:
```
RhC2IO2
1.0
-7.414 -5.617 -2.823
3.793 -7.376 4.711
-2.516 -3.441 13.454
Rh C I O
8 16 8 16
direct
0.790 0.789 0.313 Rh
0.441 0.772 0.369 Rh
0.710 0.789 0.813 Rh
0.210 0.211 0.687 Rh
0.941 0.228 0.131 Rh
0.290 0.211 0.187 Rh
0.059 0.772 0.869 Rh
0.559 0.228 0.631 Rh
0.644 0.275 0.497 C
0.690 0.355 0.645 C
0.356 0.725 0.503 C
0.144 0.725 0.003 C
0.931 0.728 0.419 C
0.569 0.728 0.919 C
0.376 0.325 0.241 C
0.310 0.645 0.355 C
0.190 0.645 0.855 C
0.069 0.272 0.581 C
0.624 0.675 0.759 C
0.856 0.275 0.997 C
0.431 0.272 0.081 C
0.124 0.325 0.741 C
0.810 0.355 0.145 C
0.876 0.675 0.259 C
0.073 0.155 0.326 I
0.427 0.155 0.826 I
0.573 0.845 0.174 I
0.646 0.941 0.395 I
0.927 0.845 0.674 I
0.146 0.059 0.105 I
0.854 0.941 0.895 I
0.354 0.059 0.605 I
0.520 0.319 0.014 O
0.480 0.681 0.986 O
0.726 0.436 0.152 O
0.980 0.319 0.514 O
0.799 0.304 0.915 O
0.201 0.696 0.085 O
0.226 0.564 0.348 O
0.774 0.436 0.652 O
0.299 0.696 0.585 O
0.569 0.602 0.727 O
0.274 0.564 0.848 O
0.701 0.304 0.415 O
0.020 0.681 0.486 O
0.069 0.398 0.773 O
0.931 0.602 0.227 O
0.431 0.398 0.273 O
```

---

First-principles (PBE) data for an optimized crystal structure of Y7C3I6O, as listed in the Materials Project.

magnetic moment	0.01	μB per formula unit
space-group type	Pmma (51)
E	-6.39	eV/atom

POSCAR file:
```
Y7C3I6O
1.0
-0.548 -1.677 3.435
5.283 -9.515 -3.803
19.875 8.174 7.159
Y C I O
14 6 12 2
direct
0.500 0.637 0.969 Y
0.000 0.702 0.665 Y
0.500 0.516 0.750 Y
0.000 0.438 0.605 Y
0.000 0.298 0.165 Y
0.500 0.484 0.250 Y
0.500 0.363 0.469 Y
0.000 0.438 0.895 Y
0.000 0.562 0.105 Y
0.000 0.702 0.835 Y
0.500 0.637 0.531 Y
0.500 0.363 0.031 Y
0.000 0.298 0.335 Y
0.000 0.562 0.395 Y
0.500 0.424 0.137 C
0.500 0.576 0.637 C
0.000 0.500 0.000 C
0.500 0.576 0.863 C
0.000 0.500 0.500 C
0.500 0.424 0.363 C
0.500 0.130 0.250 I
0.000 0.693 0.250 I
0.000 0.143 0.058 I
0.500 0.228 0.908 I
0.500 0.772 0.408 I
0.000 0.857 0.942 I
0.000 0.143 0.442 I
0.500 0.772 0.092 I
0.000 0.857 0.558 I
0.000 0.307 0.750 I
0.500 0.228 0.592 I
0.500 0.870 0.750 I
0.000 0.613 0.750 O
0.000 0.387 0.250 O
```

---

First-principles (PBE) data for an optimized crystal structure of Zr6CI14O10, as listed in the Materials Project.

magnetic moment	4.00	μB per formula unit
space-group type	P-1 (2)
E	-5.07	eV/atom

POSCAR file:
```
Zr6CI14O10
1.0
10.486 0.158 -1.078
-1.728 9.312 -5.016
0.114 0.079 11.242
Zr C I O
6 1 14 10
direct
0.160 0.038 0.282 Zr
0.840 0.962 0.718 Zr
0.154 0.735 0.815 Zr
0.846 0.265 0.185 Zr
0.230 0.231 0.997 Zr
0.770 0.769 0.003 Zr
0.000 0.000 0.000 C
0.347 0.241 0.251 I
0.653 0.759 0.749 I
0.931 0.562 0.839 I
0.069 0.438 0.161 I
0.276 0.798 0.088 I
0.724 0.202 0.912 I
0.338 0.972 0.835 I
0.662 0.028 0.165 I
0.940 0.829 0.252 I
0.060 0.171 0.748 I
0.007 0.267 0.415 I
0.993 0.733 0.585 I
0.467 0.342 0.692 I
0.533 0.658 0.308 I
0.247 0.056 0.433 O
0.753 0.944 0.567 O
0.351 0.355 0.991 O
0.649 0.645 0.009 O
0.238 0.594 0.721 O
0.762 0.406 0.279 O
0.683 0.302 0.519 O
0.317 0.698 0.481 O
0.604 0.230 0.550 O
0.396 0.770 0.450 O
```